A plane-wave DFT calculation with GGA-PBE was carried out for an optimized crystal structure of Mo3WSe4S4.

Summary:
Its energy of formation from the pure elements is -895.5 meV/atom. The calculation puts the total energy at -7.0632 eV per atom. For the energy above the most stable polymorph in this dataset, the calculation gives 16 meV per atom.

Unit cell a=3.257 b=3.257 c=41.627 alpha=90.00 beta=90.00 gamma=120.00
Positions (direct):
S 0.333 0.667 0.130
S 0.333 0.667 0.055
S 0.000 0.000 0.243
S 0.000 0.000 0.317
W 0.333 0.667 0.663
Se 0.333 0.667 0.426
Se 0.000 0.000 0.622
Se 0.000 0.000 0.704
Se 0.333 0.667 0.508
Mo 0.000 0.000 0.093
Mo 0.333 0.667 0.280
Mo 0.000 0.000 0.467

***

A plane-wave DFT calculation with GGA-PBE was carried out for an optimized crystal structure of K2LiNdBr6.

Summary:
Its energy of formation from the pure elements is -2067.1 meV/atom. The calculation puts the total energy at -3.6187 eV per atom.

Unit cell a=7.919 b=7.919 c=7.919 alpha=60.00 beta=60.00 gamma=60.00
Positions (direct):
K 0.750 0.750 0.750
K 0.250 0.250 0.250
Br 0.257 0.743 0.743
Br 0.743 0.257 0.257
Br 0.257 0.743 0.257
Br 0.743 0.743 0.257
Br 0.257 0.257 0.743
Br 0.743 0.257 0.743
Li 0.500 0.500 0.500
Nd 0.000 0.000 0.000

***

A plane-wave DFT calculation with GGA-PBE was carried out for an optimized crystal structure of ReH3O5.

Summary:
Its energy of formation from the pure elements is -1661.9 meV/atom. The calculation puts the total energy at -6.5427 eV per atom. The largest piezoelectric modulus comes out at 0.17 C/m2. For the energy above the most stable polymorph in this dataset, the calculation gives 0 meV per atom.

Unit cell a=5.998 b=6.107 c=7.157 alpha=110.14 beta=114.68 gamma=90.73
Positions (direct):
H 0.556 0.664 0.872
H 0.349 0.669 0.610
H 0.273 0.498 0.727
H 0.672 0.269 0.124
H 0.657 0.312 0.374
H 0.489 0.439 0.201
O 0.375 0.643 0.755
O 0.165 0.336 0.902
O 0.811 0.692 0.066
O 0.665 0.248 0.554
O 0.246 0.925 0.097
O 0.648 0.381 0.255
O 0.082 0.142 0.420
O 0.907 0.860 0.612
O 0.746 0.127 0.929
O 0.305 0.718 0.412
Re 0.874 0.144 0.751
Re 0.109 0.869 0.251

***

A plane-wave DFT calculation with GGA-PBE was carried out for an optimized crystal structure of Eu3ReO7.

Summary:
Its energy of formation from the pure elements is -2964.0 meV/atom. The calculation puts the total energy at -9.6042 eV per atom.

Unit cell a=6.708 b=6.708 c=7.640 alpha=90.00 beta=90.00 gamma=110.31
Positions (direct):
Re 0.500 0.500 0.500
Re 0.500 0.500 0.000
Eu 0.000 0.000 0.500
Eu 0.512 0.032 0.250
Eu 0.032 0.512 0.250
Eu 0.968 0.488 0.750
Eu 0.488 0.968 0.750
Eu 0.000 0.000 0.000
O 0.443 0.200 0.518
O 0.557 0.800 0.018
O 0.557 0.800 0.482
O 0.878 0.148 0.250
O 0.443 0.200 0.982
O 0.852 0.122 0.750
O 0.200 0.443 0.518
O 0.800 0.557 0.482
O 0.122 0.852 0.750
O 0.148 0.878 0.250
O 0.470 0.470 0.250
O 0.800 0.557 0.018
O 0.200 0.443 0.982
O 0.530 0.530 0.750

***

A plane-wave DFT calculation with GGA-PBE was carried out for an optimized crystal structure of Cs2Se.

Summary:
Its energy of formation from the pure elements is -899.9 meV/atom. The calculation puts the total energy at -2.5048 eV per atom. For the energy above the most stable polymorph in this dataset, the calculation gives 306 meV per atom.

Unit cell a=7.882 b=7.882 c=7.882 alpha=90.00 beta=90.00 gamma=90.00
Positions (direct):
Cs 0.750 0.250 0.750
Cs 0.750 0.750 0.250
Cs 0.250 0.250 0.250
Cs 0.250 0.750 0.750
Se 0.500 0.500 0.500
Se 0.000 0.000 0.000

***

A plane-wave DFT calculation with GGA-PBE was carried out for an optimized crystal structure of SmMgB5O10.

Summary:
Its energy of formation from the pure elements is -3102.4 meV/atom. The calculation puts the total energy at -7.9450 eV per atom.

Unit cell a=7.683 b=8.707 c=12.519 alpha=49.06 beta=90.00 gamma=90.00
Positions (direct):
B 0.533 0.276 0.444
B 0.686 0.480 0.588
B 0.098 0.156 0.501
B 0.402 0.156 0.001
B 0.326 0.090 0.395
B 0.967 0.276 0.944
B 0.923 0.655 0.760
B 0.077 0.345 0.240
B 0.314 0.520 0.412
B 0.577 0.655 0.260
B 0.186 0.520 0.912
B 0.902 0.844 0.499
B 0.826 0.910 0.105
B 0.174 0.090 0.895
B 0.467 0.724 0.556
B 0.423 0.345 0.740
B 0.033 0.724 0.056
B 0.674 0.910 0.605
B 0.598 0.844 0.999
B 0.814 0.480 0.088
O 0.585 0.316 0.693
O 0.151 0.550 0.134
O 0.915 0.316 0.193
O 0.849 0.450 0.866
O 0.212 0.200 0.267
O 0.532 0.687 0.130
O 0.651 0.450 0.366
O 0.652 0.428 0.071
O 0.349 0.550 0.634
O 0.273 0.029 0.017
O 0.047 0.121 0.619
O 0.227 0.029 0.517
O 0.028 0.234 0.852
O 0.288 0.200 0.767
O 0.953 0.879 0.381
O 0.712 0.800 0.233
O 0.375 0.325 0.490
O 0.727 0.971 0.983
O 0.348 0.572 0.929
O 0.152 0.572 0.429
O 0.108 0.909 0.919
O 0.085 0.684 0.807
O 0.892 0.091 0.081
O 0.875 0.675 0.010
O 0.848 0.428 0.571
O 0.968 0.687 0.630
O 0.773 0.971 0.483
O 0.453 0.121 0.119
O 0.392 0.909 0.419
O 0.472 0.234 0.352
O 0.032 0.313 0.370
O 0.972 0.766 0.148
O 0.468 0.313 0.870
O 0.415 0.684 0.307
O 0.625 0.675 0.510
O 0.788 0.800 0.733
O 0.608 0.091 0.581
O 0.125 0.325 0.990
O 0.528 0.766 0.648
O 0.547 0.879 0.881
Sm 0.687 0.052 0.262
Sm 0.313 0.948 0.738
Sm 0.187 0.948 0.238
Sm 0.813 0.052 0.762
Mg 0.909 0.523 0.374
Mg 0.091 0.477 0.626
Mg 0.591 0.523 0.874
Mg 0.409 0.477 0.126